The following is a PBE-GGA calculation of crystalline BaNaZr2F11 at its relaxed geometry, from Materials Project.

a = 13.3827 Å, b = 13.3827 Å, c = 13.3827 Å
α = 143.51°, β = 143.51°, γ = 52.56°
Last column: nearest neighbours and their distance in Å.
Fractional positions:
Ba1 0.2869 0.0369 0.2500  10 F 2.72-2.85
Ba2 0.4631 0.2131 0.2500  10 F 2.72-2.85
Ba3 0.5369 0.7869 0.7500  10 F 2.72-2.85
Ba4 0.7131 0.9631 0.7500  10 F 2.72-2.85
Na1 0.0099 0.2599 0.7500  6 F 2.28-2.42
Na2 0.2401 0.4901 0.7500  6 F 2.28-2.42
Na3 0.7599 0.5099 0.2500  6 F 2.28-2.42
Na4 0.9901 0.7401 0.2500  6 F 2.28-2.42
Zr1 0.0124 0.9098 0.6732  8 F 2.05-2.26
Zr2 0.1608 0.4876 0.3974  8 F 2.05-2.26
Zr3 0.2634 0.6608 0.1732  8 F 2.05-2.26
Zr4 0.4098 0.2366 0.8974  8 F 2.05-2.26
Zr5 0.5902 0.7634 0.1026  8 F 2.05-2.26
Zr6 0.7366 0.3392 0.8268  8 F 2.05-2.26
Zr7 0.8392 0.5124 0.6026  8 F 2.05-2.26
Zr8 0.9876 0.0902 0.3268  8 F 2.05-2.26
F1 0.0066 0.5296 0.8838  2 Zr 2.21-2.22, 1 F 2.40, 1 Na 2.40
F2 0.0156 0.0669 0.1760  1 Zr 2.09
F3 0.0296 0.6458 0.5229  2 Zr 2.21-2.22, 1 F 2.40, 1 Na 2.40
F4 0.1039 0.6374 0.8888  2 Zr 2.23-2.26, 1 F 2.40, 1 Na 2.42
F5 0.1268 0.8768 0.2500  2 Zr 2.14
F6 0.1322 0.0883 0.8181  1 Zr 2.06, 1 Na 2.28
F7 0.1374 0.7485 0.5335  2 Zr 2.23-2.26, 1 F 2.40, 1 Na 2.42
F8 0.1458 0.1229 0.6162  2 Zr 2.21-2.22, 1 F 2.40, 1 Na 2.40
F9 0.1859 0.2448 0.1794  1 Zr 2.05
F10 0.1859 0.3678 0.4561  1 Zr 2.06, 1 Na 2.28
F11 0.2298 0.6859 0.3181  1 Zr 2.06, 1 Na 2.28
F12 0.2485 0.2151 0.6112  2 Zr 2.23-2.26, 1 F 2.40, 1 Na 2.42
F13 0.2552 0.9347 0.9411  1 Zr 2.05
F14 0.2849 0.3961 0.0335  2 Zr 2.23-2.26, 1 F 2.40, 1 Na 2.42
F15 0.3397 0.5156 0.4487  1 Zr 2.09
F16 0.3771 0.4934 0.0229  2 Zr 2.21-2.22, 1 F 2.40, 1 Na 2.40
F17 0.3768 0.6268 0.7500  2 Zr 2.14
F18 0.3910 0.8397 0.3240  1 Zr 2.09
F19 0.4117 0.7298 0.0439  1 Zr 2.06, 1 Na 2.28
F20 0.4331 0.1090 0.9487  1 Zr 2.09
F21 0.4347 0.9935 0.6794  1 Zr 2.05
F22 0.4935 0.3141 0.5589  1 Zr 2.05
F23 0.5065 0.6859 0.4411  1 Zr 2.05
F24 0.5653 0.0065 0.3206  1 Zr 2.05
F25 0.5669 0.8910 0.0513  1 Zr 2.09
F26 0.5883 0.2702 0.9561  1 Zr 2.06, 1 Na 2.28
F27 0.6090 0.1603 0.6760  1 Zr 2.09
F28 0.6232 0.3732 0.2500  2 Zr 2.14
F29 0.6229 0.5066 0.9771  2 Zr 2.21-2.22, 1 F 2.40, 1 Na 2.40
F30 0.6603 0.4844 0.5513  1 Zr 2.09
F31 0.7151 0.6039 0.9665  2 Zr 2.23-2.26, 1 F 2.40, 1 Na 2.42
F32 0.7448 0.0653 0.0589  1 Zr 2.05
F33 0.7515 0.7849 0.3888  2 Zr 2.23-2.26, 1 F 2.40, 1 Na 2.42
F34 0.7702 0.3141 0.6819  1 Zr 2.06, 1 Na 2.28
F35 0.8141 0.6322 0.5439  1 Zr 2.06, 1 Na 2.28
F36 0.8141 0.7552 0.8206  1 Zr 2.05
F37 0.8542 0.8771 0.3838  2 Zr 2.21-2.22, 1 F 2.40, 1 Na 2.40
F38 0.8626 0.2515 0.4665  2 Zr 2.23-2.26, 1 F 2.40, 1 Na 2.42
F39 0.8678 0.9117 0.1819  1 Zr 2.06, 1 Na 2.28
F40 0.8732 0.1232 0.7500  2 Zr 2.14
F41 0.8961 0.3626 0.1112  2 Zr 2.23-2.26, 1 F 2.40, 1 Na 2.42
F42 0.9704 0.3542 0.4771  2 Zr 2.21-2.22, 1 F 2.40, 1 Na 2.40
F43 0.9844 0.9331 0.8240  1 Zr 2.09
F44 0.9934 0.4704 0.1162  2 Zr 2.21-2.22, 1 F 2.40, 1 Na 2.40

Properties
Calculated volume: 14.044 Å³ per atom
E (MP2020): -6.72 eV per atom
ΔH_f (0 K): -3.9629 eV/atom
Total DFT energy (no corrections): -383.04 eV for the cell shown

The following is a PBE-GGA calculation of crystalline Ba5Nb3O3F20 at its relaxed geometry, from Materials Project.

a = 12.0997 Å, b = 12.0997 Å, c = 8.0279 Å
α = 90.00°, β = 90.00°, γ = 120.00°
Last column: nearest neighbours and their distance in Å.
Fractional positions:
Ba1 0.0000 0.0000 0.0000  6 F 2.64
Ba2 0.0000 0.0000 0.5000  6 F 2.64
Ba3 0.0869 0.4461 0.2500  9 F 2.75-3.01, 2 O 2.79-2.93
Ba4 0.3333 0.6667 0.7500  11 F 2.74-3.02
Ba5 0.3592 0.9131 0.2500  9 F 2.75-3.01, 2 O 2.79-2.93
Ba6 0.4461 0.3592 0.7500  9 F 2.75-3.01, 2 O 2.79-2.93
Ba7 0.5539 0.6408 0.2500  9 F 2.75-3.01, 2 O 2.79-2.93
Ba8 0.6408 0.0869 0.7500  9 F 2.75-3.01, 2 O 2.79-2.93
Ba9 0.6667 0.3333 0.2500  11 F 2.74-3.02
Ba10 0.9131 0.5539 0.7500  9 F 2.75-3.01, 2 O 2.79-2.93
Nb1 0.0458 0.3289 0.7500  1 O 1.78
Nb2 0.2831 0.9542 0.7500  1 O 1.78
Nb3 0.3289 0.2831 0.2500  1 O 1.78
Nb4 0.6711 0.7169 0.7500  1 O 1.78
Nb5 0.7169 0.0458 0.2500  1 O 1.78
Nb6 0.9542 0.6711 0.2500  1 O 1.78
O1 0.1141 0.7007 0.2500  1 Nb 1.78
O2 0.2993 0.4134 0.2500  1 Nb 1.78
O3 0.4134 0.1141 0.7500  1 Nb 1.78
O4 0.5866 0.8859 0.2500  1 Nb 1.78
O5 0.7007 0.5866 0.7500  1 Nb 1.78
O6 0.8859 0.2993 0.7500  1 Nb 1.78
F1 0.0008 0.1418 0.7500  1 Nb 2.05
F2 0.0524 0.2782 0.5101  1 Nb 2.04
F3 0.0524 0.2782 0.9899  1 Nb 2.04
F4 0.1001 0.4924 0.5984  1 Nb 2.13
F5 0.1001 0.4924 0.9016  1 Nb 2.13
F6 0.1409 0.9992 0.7500  1 Nb 2.05
F7 0.1418 0.1409 0.2500  1 Nb 2.05
F8 0.1618 0.7515 0.7500  1 Nb 2.14
F9 0.2257 0.9476 0.5101  1 Nb 2.04
F10 0.2257 0.9476 0.9899  1 Nb 2.04
F11 0.2485 0.4104 0.7500  1 Nb 2.14
F12 0.2782 0.2257 0.0101  1 Nb 2.04
F13 0.2782 0.2257 0.4899  1 Nb 2.04
F14 0.3333 0.6667 0.1261  1 F 1.99
F15 0.3333 0.6667 0.3739  1 F 1.99
F16 0.3923 0.8999 0.5984  1 Nb 2.13
F17 0.3923 0.8999 0.9016  1 Nb 2.13
F18 0.4104 0.1618 0.2500  1 Nb 2.14
F19 0.4924 0.3923 0.0984  1 Nb 2.13
F20 0.4924 0.3923 0.4016  1 Nb 2.13
F21 0.5076 0.6077 0.5984  1 Nb 2.13
F22 0.5076 0.6077 0.9016  1 Nb 2.13
F23 0.5896 0.8382 0.7500  1 Nb 2.14
F24 0.6077 0.1001 0.0984  1 Nb 2.13
F25 0.6077 0.1001 0.4016  1 Nb 2.13
F26 0.6667 0.3333 0.6261  1 F 1.99
F27 0.6667 0.3333 0.8739  1 F 1.99
F28 0.7218 0.7743 0.5101  1 Nb 2.04
F29 0.7218 0.7743 0.9899  1 Nb 2.04
F30 0.7515 0.5896 0.2500  1 Nb 2.14
F31 0.7743 0.0524 0.0101  1 Nb 2.04
F32 0.7743 0.0524 0.4899  1 Nb 2.04
F33 0.8382 0.2485 0.2500  1 Nb 2.14
F34 0.8582 0.8591 0.7500  1 Nb 2.05
F35 0.8591 0.0008 0.2500  1 Nb 2.05
F36 0.8999 0.5076 0.0984  1 Nb 2.13
F37 0.8999 0.5076 0.4016  1 Nb 2.13
F38 0.9476 0.7218 0.0101  1 Nb 2.04
F39 0.9476 0.7218 0.4899  1 Nb 2.04
F40 0.9992 0.8582 0.2500  1 Nb 2.05

Properties
Calculated volume: 16.417 Å³ per atom
E (MP2020): -6.68 eV per atom
ΔH_f (0 K): -3.6819 eV/atom
Total DFT energy (no corrections): -391.74 eV for the cell shown

The following is a PBE-GGA calculation of crystalline Ba3Nb2O4F12 at its relaxed geometry, from Materials Project.

a = 11.9293 Å, b = 11.9293 Å, c = 7.9691 Å
α = 90.00°, β = 90.00°, γ = 38.51°
Last column: nearest neighbours and their distance in Å.
Fractional positions:
Ba1 0.0997 0.9003 0.5000  6 F 2.65-2.66
Ba2 0.1225 0.4932 0.7160  9 F 2.69-2.95, 2 O 2.78-2.93
Ba3 0.4932 0.1225 0.2160  9 F 2.69-2.95, 2 O 2.78-2.93
Ba4 0.5068 0.8775 0.7160  9 F 2.69-2.95, 2 O 2.78-2.93
Ba5 0.8775 0.5068 0.2160  9 F 2.69-2.95, 2 O 2.78-2.93
Ba6 0.9003 0.0997 0.0000  6 F 2.65-2.66
Nb1 0.0803 0.6376 0.2110  1 O 1.79
Nb2 0.3624 0.9197 0.2110  1 O 1.79
Nb3 0.6376 0.0803 0.7110  1 O 1.79
Nb4 0.9197 0.3624 0.7110  1 O 1.79
O1 0.1497 0.2271 0.7174  1 Nb 1.79
O2 0.2271 0.1497 0.2174  1 Nb 1.79
O3 0.2652 0.7348 0.8800  1 O 1.93
O4 0.4696 0.5304 0.0132  1 O 1.93
O5 0.5304 0.4696 0.5132  1 O 1.93
O6 0.7348 0.2652 0.3800  1 O 1.93
O7 0.7729 0.8503 0.7174  1 Nb 1.79
O8 0.8503 0.7729 0.2174  1 Nb 1.79
F1 0.0260 0.8511 0.2149  1 Nb 2.08
F2 0.0855 0.6875 0.9689  1 Nb 2.03
F3 0.1023 0.6768 0.4575  1 Nb 2.08
F4 0.1411 0.4493 0.0618  1 Nb 2.11
F5 0.1466 0.4483 0.3646  1 Nb 2.11
F6 0.1489 0.9740 0.2149  1 Nb 2.08
F7 0.3125 0.9145 0.9689  1 Nb 2.03
F8 0.3232 0.8977 0.4575  1 Nb 2.08
F9 0.3617 0.4350 0.2077  1 Nb 2.10
F10 0.4350 0.3617 0.7077  1 Nb 2.10
F11 0.4483 0.1466 0.8646  1 Nb 2.11
F12 0.4493 0.1411 0.5618  1 Nb 2.11
F13 0.5507 0.8589 0.0618  1 Nb 2.11
F14 0.5517 0.8534 0.3646  1 Nb 2.11
F15 0.5650 0.6383 0.2077  1 Nb 2.10
F16 0.6383 0.5650 0.7077  1 Nb 2.10
F17 0.6768 0.1023 0.9575  1 Nb 2.08
F18 0.6875 0.0855 0.4689  1 Nb 2.03
F19 0.8511 0.0260 0.7149  1 Nb 2.08
F20 0.8534 0.5517 0.8646  1 Nb 2.11
F21 0.8589 0.5507 0.5618  1 Nb 2.11
F22 0.8977 0.3232 0.9575  1 Nb 2.08
F23 0.9145 0.3125 0.4689  1 Nb 2.03
F24 0.9740 0.1489 0.7149  1 Nb 2.08

Properties
Calculated volume: 16.813 Å³ per atom
E (MP2020): -6.49 eV per atom
ΔH_f (0 K): -3.2141 eV/atom
Total DFT energy (no corrections): -255.86 eV for the cell shown

Q: Which formula does entry 2 have?
A: Ba5Nb3O3F20